Na7CaY3P6O24 PBE optimized geometry; ΔH_f (0 K) = -123.9 eV per formula unit; electronic total energy = -867.796 eV for the cell shown; space group = P1 (1); volume = 1784 Å³/cell
1.0
-1.912 8.844 2.486
-6.858 -5.600 -3.068
-4.203 -7.086 21.938
Na Ca Y P O
21 3 9 18 72
Direct
0.640 0.010 0.245
0.370 0.359 0.245
0.989 0.631 0.243
0.637 0.628 0.746
0.990 0.362 0.747
0.374 0.010 0.746
0.027 0.694 0.585
0.665 0.972 0.584
0.308 0.974 0.084
0.666 0.693 0.085
0.696 0.031 0.920
0.334 0.302 0.919
0.968 0.294 0.412
0.324 0.030 0.413
0.708 0.677 0.412
0.013 0.012 0.499
0.000 0.000 0.004
0.680 0.347 0.834
0.667 0.333 0.326
0.318 0.652 0.163
0.333 0.653 0.664
0.000 0.999 0.347
0.661 0.332 0.680
0.672 0.333 0.178
0.000 0.990 0.851
0.009 0.009 0.650
0.000 0.010 0.151
0.681 0.343 0.986
0.662 0.334 0.487
0.320 0.658 0.015
0.333 0.659 0.517
0.334 0.668 0.318
0.329 0.668 0.819
0.303 0.999 0.251
0.695 0.696 0.251
0.001 0.306 0.254
0.299 0.302 0.753
0.002 0.700 0.748
0.700 0.998 0.751
0.966 0.333 0.584
0.360 0.022 0.583
0.672 0.645 0.585
0.974 0.646 0.087
0.662 0.022 0.082
0.367 0.333 0.083
0.629 0.665 0.917
0.029 0.358 0.913
0.339 0.975 0.917
0.634 0.970 0.418
0.335 0.365 0.415
0.031 0.664 0.418
0.225 0.019 0.306
0.793 0.775 0.306
0.980 0.211 0.310
0.217 0.201 0.808
0.984 0.792 0.799
0.805 0.014 0.804
0.784 0.977 0.697
0.189 0.213 0.702
0.024 0.801 0.693
0.784 0.806 0.198
0.023 0.213 0.203
0.195 0.980 0.198
0.888 0.356 0.639
0.461 0.101 0.638
0.651 0.547 0.640
0.904 0.554 0.144
0.639 0.100 0.137
0.468 0.358 0.137
0.456 0.313 0.030
0.859 0.551 0.037
0.681 0.128 0.029
0.447 0.127 0.530
0.689 0.555 0.532
0.858 0.313 0.531
0.542 0.686 0.970
0.142 0.451 0.964
0.321 0.870 0.971
0.545 0.864 0.471
0.316 0.458 0.466
0.136 0.681 0.471
0.115 0.643 0.364
0.529 0.886 0.364
0.358 0.466 0.360
0.105 0.456 0.857
0.357 0.890 0.863
0.524 0.644 0.863
0.014 0.820 0.416
0.807 0.987 0.416
0.181 0.191 0.414
0.015 0.186 0.913
0.190 0.004 0.914
0.799 0.825 0.913
0.975 0.172 0.586
0.183 0.996 0.585
0.833 0.817 0.586
0.986 0.819 0.087
0.812 0.994 0.085
0.197 0.172 0.086
0.681 0.153 0.748
0.473 0.320 0.749
0.847 0.525 0.747
0.672 0.521 0.246
0.847 0.325 0.247
0.479 0.152 0.246
0.640 0.506 0.921
0.852 0.331 0.920
0.500 0.147 0.920
0.649 0.144 0.421
0.494 0.352 0.421
0.857 0.506 0.422
0.352 0.491 0.076
0.152 0.676 0.079
0.503 0.848 0.077
0.344 0.848 0.579
0.525 0.676 0.580
0.138 0.491 0.578
0.317 0.839 0.253
0.521 0.683 0.253
0.160 0.481 0.254
0.317 0.477 0.755
0.161 0.686 0.753
0.526 0.839 0.754

=====

MgTiZnBi2O6 PBE optimized geometry; energy above the lowest structure with this stoichiometry = 164 meV/atom; ΔH_f (0 K) = -21.8 eV per formula unit; electronic total energy = -65.915 eV for the cell shown; space group = Amm2 (38); volume = 198 Å³/cell
1.0
0.000 -3.234 -4.548
0.000 -3.234 4.548
-6.729 0.000 0.000
Mg Ti Zn Bi O
1 1 1 2 6
Direct
0.151 0.849 0.000
0.461 0.539 0.000
0.464 0.536 0.500
0.844 0.156 0.750
0.844 0.156 0.250
0.092 0.358 0.500
0.642 0.908 0.500
0.112 0.483 0.000
0.517 0.888 0.000
0.569 0.431 0.768
0.569 0.431 0.232

=====

TbAlCo4 PBE optimized geometry; ΔH_f (0 K) = -1.5 eV per formula unit; electronic total energy = -38.275 eV for the cell shown; space group = Cmmm (65); volume = 85 Å³/cell
1.0
-3.979 -2.941 0.106
3.264 -0.043 3.720
-2.080 2.881 1.858
Tb Al Co
1 1 4
Direct
0.000 0.000 0.000
0.500 0.500 0.500
0.669 0.331 0.000
0.331 0.669 0.000
0.500 0.000 0.500
0.000 0.500 0.500

=====

CaEuSn4O12 PBE optimized geometry; ΔH_f (0 K) = -36.1 eV per formula unit; electronic total energy = -115.568 eV for the cell shown; space group = Amm2 (38); volume = 263 Å³/cell
1.0
2.848 -1.124 -4.819
0.647 5.590 -0.967
6.940 -0.090 4.122
Ca Eu Sn O
1 1 4 12
Direct
0.474 0.526 0.000
0.023 0.977 0.500
0.511 0.011 0.245
0.511 0.011 0.755
0.989 0.489 0.755
0.989 0.489 0.245
0.196 0.191 0.275
0.809 0.804 0.275
0.809 0.804 0.725
0.196 0.191 0.725
0.276 0.724 0.301
0.683 0.317 0.194
0.683 0.317 0.806
0.276 0.724 0.699
0.476 0.924 0.000
0.578 0.045 0.500
0.076 0.524 0.000
0.955 0.422 0.500

=====

Sr PBE optimized geometry; energy above the lowest structure with this stoichiometry = 13 meV/atom; ΔH_f (0 K) = 0.0 eV per formula unit; electronic total energy = -1.676 eV for the cell shown; space group = Im-3m (229); volume = 54 Å³/cell
1.0
-2.377 2.377 2.377
2.377 -2.377 2.377
2.377 2.377 -2.377
Sr
1
Direct
0.000 0.000 0.000

=====

Dy7Cu3Te12 PBE optimized geometry; ΔH_f (0 K) = -29.7 eV per formula unit; electronic total energy = -106.915 eV for the cell shown; space group = P1 (1); volume = 685 Å³/cell
1.0
7.454 0.000 0.000
-3.624 6.518 0.000
-1.254 -2.095 14.105
Dy Cu Te
7 3 12
Direct
0.416 0.418 0.253
0.332 0.664 0.997
0.090 0.758 0.252
0.246 0.907 0.745
0.746 0.075 0.252
0.922 0.257 0.746
0.578 0.583 0.746
0.859 0.525 0.576
0.811 0.810 0.429
0.476 0.144 0.429
0.126 0.137 0.384
0.293 0.289 0.875
0.805 0.459 0.382
0.955 0.626 0.875
0.456 0.789 0.385
0.627 0.961 0.875
0.376 0.045 0.125
0.534 0.202 0.619
0.040 0.376 0.125
0.209 0.536 0.616
0.709 0.704 0.125
0.870 0.879 0.619

=====

ScHO2 PBE optimized geometry; largest piezoelectric modulus = 2.473 C/m2; ΔH_f (0 K) = -11.0 eV per formula unit; electronic total energy = -58.544 eV for the cell shown; space group = P1 (1); volume = 92 Å³/cell
1.0
-2.164 2.581 -0.478
-0.842 -0.600 -3.717
-6.108 -3.479 1.424
Sc H O
2 2 4
Direct
0.589 0.188 0.684
0.435 0.807 0.306
0.029 0.472 0.487
0.020 0.031 0.976
0.284 0.292 0.431
0.706 0.705 0.572
0.059 0.159 0.841
0.958 0.848 0.163

=====

BaAl5O9 PBE optimized geometry; ΔH_f (0 K) = -49.3 eV per formula unit; electronic total energy = -216.507 eV for the cell shown; space group = P6_3/mmc (194); volume = 381 Å³/cell
1.0
-3.405 0.801 4.510
-2.263 -0.793 -5.179
-0.274 -13.319 2.160
Ba Al O
2 10 18
Direct
0.333 0.667 0.250
0.667 0.333 0.750
0.500 0.500 0.500
0.500 0.000 0.500
0.000 0.500 0.500
0.500 0.500 0.000
0.500 0.000 0.000
0.000 0.500 0.000
0.000 0.000 0.121
0.000 0.000 0.879
0.000 0.000 0.621
0.000 0.000 0.379
0.000 0.000 0.250
0.000 0.000 0.750
0.172 0.828 0.080
0.172 0.343 0.080
0.657 0.828 0.080
0.828 0.172 0.920
0.828 0.657 0.920
0.343 0.172 0.920
0.828 0.172 0.580
0.828 0.657 0.580
0.343 0.172 0.580
0.172 0.828 0.420
0.172 0.343 0.420
0.657 0.828 0.420
0.333 0.667 0.934
0.667 0.333 0.066
0.667 0.333 0.434
0.333 0.667 0.566

=====

Ni2PdSe2 PBE optimized geometry; ΔH_f (0 K) = -2.2 eV per formula unit; electronic total energy = -100.066 eV for the cell shown; space group = I4/mmm (139); volume = 317 Å³/cell
1.0
1.255 -0.210 7.907
-6.097 -0.709 -5.145
3.605 -6.930 -1.766
Ni Pd Se
8 4 8
Direct
0.904 0.096 0.500
0.596 0.096 0.191
0.404 0.904 0.809
0.096 0.904 0.500
0.096 0.596 0.191
0.904 0.404 0.809
0.596 0.404 0.500
0.404 0.596 0.500
0.500 0.500 0.000
0.000 0.000 0.000
0.500 0.000 0.500
0.000 0.500 0.500
0.500 0.255 0.755
0.500 0.745 0.245
0.169 0.831 0.000
0.831 0.169 0.000
0.745 0.500 0.245
0.831 0.831 0.662
0.169 0.169 0.338
0.255 0.500 0.755

=====

SiH18C2N8O2F6 PBE optimized geometry; ΔH_f (0 K) = -38.1 eV per formula unit; electronic total energy = -206.945 eV for the cell shown; space group = P-1 (2); volume = 342 Å³/cell
1.0
2.504 -2.399 5.656
6.277 0.878 -2.318
-2.746 7.071 2.992
Si H C N O F
1 18 2 8 2 6
Direct
0.000 0.000 0.000
0.872 0.457 0.689
0.774 0.643 0.074
0.875 0.212 0.688
0.749 0.416 0.085
0.828 0.816 0.625
0.771 0.694 0.396
0.701 0.149 0.319
0.542 0.364 0.738
0.451 0.107 0.208
0.549 0.893 0.792
0.458 0.636 0.262
0.299 0.851 0.681
0.229 0.306 0.604
0.172 0.184 0.375
0.251 0.584 0.915
0.125 0.788 0.312
0.226 0.357 0.926
0.128 0.543 0.311
0.524 0.761 0.526
0.476 0.239 0.474
0.815 0.309 0.622
0.724 0.756 0.517
0.604 0.311 0.623
0.549 0.164 0.320
0.451 0.836 0.680
0.396 0.689 0.377
0.276 0.244 0.483
0.185 0.691 0.378
0.726 0.565 0.145
0.274 0.435 0.855
0.952 0.016 0.206
0.870 0.761 0.914
0.777 0.124 0.968
0.223 0.876 0.032
0.130 0.239 0.086
0.048 0.984 0.794

=====

TmMnB4 PBE optimized geometry; ΔH_f (0 K) = -4.1 eV per formula unit; electronic total energy = -177.950 eV for the cell shown; space group = Pbam (55); volume = 225 Å³/cell
1.0
-2.221 -2.055 -1.485
3.574 -0.513 -4.636
5.026 -8.946 4.864
Tm Mn B
4 4 16
Direct
0.500 0.374 0.150
0.500 0.626 0.850
0.500 0.126 0.650
0.500 0.874 0.350
0.500 0.371 0.416
0.500 0.629 0.584
0.500 0.129 0.916
0.500 0.871 0.084
0.000 0.113 0.047
0.000 0.887 0.953
0.000 0.387 0.547
0.000 0.613 0.453
0.000 0.137 0.468
0.000 0.863 0.532
0.000 0.363 0.968
0.000 0.637 0.032
0.000 0.025 0.192
0.000 0.975 0.808
0.000 0.475 0.692
0.000 0.525 0.308
0.000 0.218 0.315
0.000 0.782 0.685
0.000 0.282 0.815
0.000 0.718 0.185

=====

Cu2O3 PBE optimized geometry; ΔH_f (0 K) = -4.2 eV per formula unit; electronic total energy = -201.176 eV for the cell shown; space group = Ia-3 (206); volume = 407 Å³/cell
1.0
-3.162 -4.605 -5.850
5.489 -4.275 4.126
-5.876 2.399 5.015
Cu O
16 24
Direct
0.500 0.000 0.000
0.966 0.250 0.216
0.784 0.034 0.750
0.716 0.466 0.250
0.750 0.784 0.034
0.750 0.284 0.534
0.466 0.250 0.716
0.000 0.500 0.000
0.000 0.000 0.500
0.534 0.750 0.284
0.500 0.500 0.500
0.250 0.716 0.466
0.250 0.216 0.966
0.216 0.966 0.250
0.284 0.534 0.750
0.034 0.750 0.784
0.786 0.061 0.518
0.714 0.232 0.275
0.268 0.982 0.043
0.939 0.482 0.214
0.768 0.725 0.286
0.439 0.225 0.457
0.043 0.268 0.982
0.457 0.439 0.225
0.982 0.043 0.268
0.775 0.543 0.561
0.518 0.786 0.061
0.725 0.286 0.768
0.275 0.714 0.232
0.225 0.457 0.439
0.482 0.214 0.939
0.018 0.957 0.732
0.957 0.732 0.018
0.543 0.561 0.775
0.561 0.775 0.543
0.232 0.275 0.714
0.061 0.518 0.786
0.732 0.018 0.957
0.214 0.939 0.482
0.286 0.768 0.725